{"formula": "Li3CrPCO7", "functional": "PBE with a Hubbard U", "state": "optimized geometry", "lattice_angstrom": [[-4.158, 4.958, 0.498], [-4.352, -4.381, 7.271], [3.510, 2.027, 9.121]], "species": ["O", "O", "O", "Li", "Li", "Li", "Li", "O", "Li", "Li", "O", "O", "C", "O", "O", "P", "O", "C", "P", "C", "O", "O", "O", "O", "O", "O", "Li", "O", "P", "O", "O", "O", "Cr", "Li", "Cr", "O", "Li", "P", "Li", "Cr", "O", "O", "C", "O", "O", "O", "O", "Li", "Li", "O", "Cr", "O"], "frac_coords": [[0.758, 0.157, 0.912], [0.250, 0.578, 0.549], [0.751, 0.062, 0.742], [0.242, 0.643, 0.316], [0.742, 0.357, 0.184], [0.480, 0.294, 0.986], [0.750, 0.889, 0.192], [0.564, 0.685, 0.822], [0.020, 0.294, 0.486], [0.520, 0.706, 0.014], [0.557, 0.687, 0.326], [0.443, 0.313, 0.674], [0.263, 0.959, 0.623], [0.278, 0.103, 0.513], [0.750, 0.422, 0.451], [0.746, 0.589, 0.318], [0.436, 0.315, 0.178], [0.763, 0.041, 0.877], [0.254, 0.411, 0.682], [0.237, 0.959, 0.123], [0.735, 0.575, 0.169], [0.936, 0.685, 0.322], [0.742, 0.157, 0.412], [0.057, 0.313, 0.174], [0.250, 0.578, 0.049], [0.242, 0.843, 0.088], [0.750, 0.889, 0.692], [0.750, 0.422, 0.951], [0.246, 0.411, 0.182], [0.235, 0.425, 0.331], [0.258, 0.843, 0.588], [0.265, 0.425, 0.831], [0.483, 0.741, 0.504], [0.250, 0.111, 0.808], [0.517, 0.259, 0.496], [0.222, 0.103, 0.013], [0.258, 0.643, 0.816], [0.754, 0.589, 0.818], [0.980, 0.706, 0.514], [0.017, 0.741, 0.004], [0.249, 0.938, 0.258], [0.722, 0.897, 0.487], [0.737, 0.041, 0.377], [0.765, 0.575, 0.669], [0.943, 0.687, 0.826], [0.064, 0.315, 0.678], [0.778, 0.897, 0.987], [0.250, 0.111, 0.308], [0.758, 0.357, 0.684], [0.749, 0.062, 0.242], [0.983, 0.259, 0.996], [0.251, 0.938, 0.758]], "spacegroup": "P2_1/c, No. 14", "formation_enthalpy_0k_mev_per_atom": -2380, "m_tot_mub_per_cell": 16.00, "density_g_cm3": 2.731}